Below is LiMn2P2O10 after structural relaxation, with properties calculated at the GGA+U level.

* calculated volume: 339.9 Å³/cell
* energy above the most stable polymorph in this dataset: 0.020 eV per atom
* crystal system: monoclinic

Cell lengths 4.948, 10.303, 7.002 Å; angles 90.00, 107.81, 90.00 degrees
Sites, in units of the cell vectors:
Li 0.122 0.000 0.084
Li 0.878 0.500 0.916
Mn 0.119 0.531 0.565
Mn 0.378 0.671 0.932
Mn 0.622 0.171 0.068
Mn 0.881 0.031 0.435
P 0.026 0.750 0.223
P 0.473 0.446 0.280
P 0.527 0.946 0.720
P 0.974 0.250 0.777
O 0.019 0.641 0.750
O 0.075 0.383 0.728
O 0.188 0.675 0.415
O 0.218 0.167 0.911
O 0.235 0.786 0.103
O 0.261 0.416 0.396
O 0.273 0.025 0.590
O 0.306 0.527 0.090
O 0.420 0.821 0.786
O 0.480 0.554 0.756
O 0.520 0.054 0.244
O 0.580 0.321 0.214
O 0.694 0.027 0.910
O 0.727 0.525 0.410
O 0.739 0.916 0.604
O 0.765 0.286 0.897
O 0.782 0.667 0.089
O 0.812 0.175 0.585
O 0.925 0.883 0.272
O 0.981 0.141 0.250

***

Below is LiMn2P2O8 after structural relaxation, with properties calculated at the GGA+U level.

* calculated volume: 355.9 Å³/cell
* energy above the most stable polymorph in this dataset: 0.047 eV per atom
* crystal system: monoclinic

Cell lengths 5.094, 9.864, 7.084 Å; angles 90.00, 90.47, 90.00 degrees
Sites, in units of the cell vectors:
Li 0.044 0.000 0.243
Li 0.956 0.500 0.757
Mn 0.063 0.011 0.744
Mn 0.473 0.720 0.711
Mn 0.527 0.220 0.289
Mn 0.937 0.511 0.256
P 0.057 0.257 0.017
P 0.435 0.428 0.518
P 0.565 0.928 0.482
P 0.943 0.757 0.983
O 0.014 0.412 0.007
O 0.033 0.697 0.171
O 0.085 0.697 0.806
O 0.145 0.470 0.509
O 0.356 0.220 0.045
O 0.414 0.026 0.348
O 0.445 0.930 0.690
O 0.478 0.275 0.562
O 0.522 0.775 0.438
O 0.555 0.430 0.310
O 0.586 0.526 0.652
O 0.644 0.720 0.955
O 0.855 0.970 0.491
O 0.915 0.197 0.194
O 0.967 0.197 0.829
O 0.986 0.912 0.993

***

Below is LiMnPO4 after structural relaxation, with properties calculated at the GGA+U level.

* calculated volume: 479.4 Å³/cell
* energy above the most stable polymorph in this dataset: 0.045 eV per atom
* crystal system: hexagonal

Cell lengths 8.598, 8.598, 7.489 Å; angles 90.00, 90.00, 120.00 degrees
Sites, in units of the cell vectors:
Li 0.016 0.680 0.000
Li 0.320 0.337 0.000
Li 0.337 0.016 0.500
Li 0.663 0.984 0.000
Li 0.680 0.663 0.500
Li 0.984 0.320 0.500
Mn 0.000 0.000 0.280
Mn 0.000 0.000 0.780
Mn 0.333 0.667 0.285
Mn 0.333 0.667 0.861
Mn 0.667 0.333 0.361
Mn 0.667 0.333 0.785
P 0.034 0.685 0.586
P 0.315 0.349 0.586
P 0.349 0.034 0.086
P 0.651 0.966 0.586
P 0.685 0.651 0.086
P 0.966 0.315 0.086
O 0.069 0.207 0.080
O 0.108 0.520 0.074
O 0.136 0.728 0.766
O 0.139 0.931 0.080
O 0.173 0.751 0.433
O 0.207 0.139 0.580
O 0.249 0.422 0.433
O 0.272 0.409 0.766
O 0.409 0.136 0.266
O 0.413 0.892 0.074
O 0.422 0.173 0.933
O 0.480 0.587 0.074
O 0.520 0.413 0.574
O 0.578 0.827 0.433
O 0.587 0.108 0.574
O 0.591 0.864 0.766
O 0.728 0.591 0.266
O 0.751 0.578 0.933
O 0.793 0.861 0.080
O 0.827 0.249 0.933
O 0.861 0.069 0.580
O 0.864 0.272 0.266
O 0.892 0.480 0.574
O 0.931 0.793 0.580

***

Below is LiMn3P3O12 after structural relaxation, with properties calculated at the GGA+U level.

* calculated volume: 890.1 Å³/cell
* energy above the most stable polymorph in this dataset: 0.014 eV per atom
* crystal system: monoclinic

Cell lengths 6.769, 12.117, 10.911 Å; angles 90.00, 95.94, 90.00 degrees
Sites, in units of the cell vectors:
Li 0.001 0.000 0.251
Li 0.249 0.989 0.749
Li 0.751 0.489 0.251
Li 0.999 0.500 0.749
Mn 0.074 0.840 0.977
Mn 0.079 0.658 0.475
Mn 0.256 0.230 0.251
Mn 0.258 0.276 0.751
Mn 0.419 0.660 0.026
Mn 0.423 0.838 0.524
Mn 0.577 0.338 0.476
Mn 0.581 0.160 0.974
Mn 0.742 0.776 0.249
Mn 0.744 0.730 0.749
Mn 0.921 0.158 0.525
Mn 0.926 0.340 0.023
P 0.105 0.391 0.488
P 0.110 0.108 0.986
P 0.250 0.710 0.752
P 0.250 0.790 0.252
P 0.382 0.107 0.514
P 0.387 0.392 0.013
P 0.613 0.892 0.987
P 0.618 0.607 0.486
P 0.750 0.210 0.248
P 0.750 0.290 0.748
P 0.890 0.608 0.014
P 0.895 0.891 0.512
O 0.045 0.503 0.424
O 0.072 0.993 0.921
O 0.085 0.681 0.030
O 0.087 0.716 0.300
O 0.087 0.815 0.527
O 0.089 0.787 0.799
O 0.138 0.870 0.156
O 0.139 0.630 0.655
O 0.172 0.405 0.625
O 0.174 0.097 0.124
O 0.238 0.334 0.091
O 0.239 0.165 0.598
O 0.264 0.164 0.910
O 0.264 0.335 0.417
O 0.292 0.099 0.382
O 0.294 0.403 0.881
O 0.355 0.633 0.851
O 0.357 0.867 0.351
O 0.414 0.783 0.701
O 0.415 0.719 0.200
O 0.417 0.819 0.979
O 0.419 0.677 0.477
O 0.423 0.992 0.578
O 0.450 0.504 0.074
O 0.550 0.004 0.926
O 0.577 0.492 0.422
O 0.581 0.177 0.523
O 0.583 0.319 0.021
O 0.585 0.219 0.800
O 0.586 0.283 0.299
O 0.643 0.367 0.649
O 0.645 0.133 0.149
O 0.706 0.903 0.119
O 0.708 0.599 0.618
O 0.736 0.664 0.090
O 0.736 0.835 0.583
O 0.761 0.665 0.402
O 0.762 0.834 0.909
O 0.826 0.597 0.876
O 0.828 0.905 0.375
O 0.861 0.130 0.345
O 0.862 0.370 0.844
O 0.911 0.287 0.201
O 0.913 0.216 0.700
O 0.913 0.315 0.473
O 0.915 0.181 0.970
O 0.928 0.493 0.079
O 0.955 0.003 0.576

***

Below is LiMnPO4 after structural relaxation, with properties calculated at the GGA+U level.

* calculated volume: 336.3 Å³/cell
* energy above the most stable polymorph in this dataset: 0.071 eV per atom
* crystal system: orthorhombic

Cell lengths 10.676, 5.681, 5.546 Å; angles 90.00, 90.00, 90.00 degrees
Sites, in units of the cell vectors:
Li 0.040 0.128 0.000
Li 0.460 0.628 0.500
Li 0.540 0.372 0.000
Li 0.960 0.872 0.500
Mn 0.175 0.577 0.098
Mn 0.325 0.077 0.598
Mn 0.675 0.923 0.098
Mn 0.825 0.423 0.598
P 0.100 0.354 0.594
P 0.400 0.854 0.094
P 0.600 0.146 0.594
P 0.900 0.646 0.094
O 0.016 0.815 0.109
O 0.053 0.607 0.596
O 0.183 0.295 0.821
O 0.185 0.296 0.374
O 0.315 0.796 0.874
O 0.317 0.795 0.321
O 0.447 0.107 0.096
O 0.484 0.315 0.609
O 0.516 0.685 0.109
O 0.553 0.893 0.596
O 0.683 0.205 0.821
O 0.685 0.204 0.374
O 0.815 0.704 0.874
O 0.817 0.705 0.321
O 0.947 0.393 0.096
O 0.984 0.185 0.609

***

Below is Li3Mn2P4O14 after structural relaxation, with properties calculated at the GGA+U level.

* calculated volume: 1074.6 Å³/cell
* energy above the most stable polymorph in this dataset: 0.025 eV per atom
* crystal system: triclinic

Cell lengths 9.841, 9.852, 11.388 Å; angles 89.73, 76.70, 89.63 degrees
Sites, in units of the cell vectors:
Li 0.000 0.000 0.000
Li 0.003 0.026 0.488
Li 0.066 0.699 0.988
Li 0.241 0.486 0.929
Li 0.312 0.185 0.914
Li 0.318 0.170 0.416
Li 0.484 0.666 0.499
Li 0.565 0.982 0.984
Li 0.741 0.196 0.928
Li 0.768 0.812 0.508
Li 0.802 0.505 0.916
Li 0.828 0.504 0.409
Mn 0.356 0.667 0.283
Mn 0.395 0.876 0.782
Mn 0.410 0.379 0.135
Mn 0.453 0.168 0.624
Mn 0.855 0.017 0.284
Mn 0.900 0.807 0.781
Mn 0.906 0.308 0.137
Mn 0.952 0.514 0.628
P 0.034 0.739 0.378
P 0.035 0.297 0.850
P 0.090 0.522 0.199
P 0.131 0.046 0.712
P 0.178 0.140 0.203
P 0.215 0.660 0.714
P 0.273 0.884 0.068
P 0.276 0.443 0.533
P 0.531 0.941 0.382
P 0.534 0.384 0.848
P 0.590 0.160 0.198
P 0.628 0.639 0.713
P 0.675 0.545 0.205
P 0.715 0.023 0.714
P 0.770 0.799 0.067
P 0.776 0.241 0.535
O 0.028 0.128 0.174
O 0.032 0.671 0.250
O 0.049 0.953 0.813
O 0.059 0.194 0.737
O 0.070 0.676 0.684
O 0.092 0.526 0.066
O 0.123 0.437 0.523
O 0.131 0.011 0.585
O 0.134 0.866 0.035
O 0.174 0.171 0.332
O 0.175 0.316 0.882
O 0.186 0.743 0.389
O 0.210 0.655 0.848
O 0.236 0.505 0.228
O 0.251 0.994 0.177
O 0.264 0.237 0.106
O 0.276 0.513 0.663
O 0.286 0.060 0.735
O 0.323 0.767 0.652
O 0.332 0.299 0.546
O 0.332 0.761 0.122
O 0.369 0.532 0.437
O 0.377 0.952 0.958
O 0.424 0.440 0.958
O 0.439 0.033 0.475
O 0.473 0.799 0.370
O 0.475 0.260 0.796
O 0.481 0.265 0.262
O 0.520 0.555 0.184
O 0.537 0.012 0.252
O 0.547 0.742 0.803
O 0.551 0.495 0.740
O 0.567 0.011 0.686
O 0.592 0.154 0.065
O 0.621 0.249 0.526
O 0.633 0.824 0.035
O 0.634 0.672 0.582
O 0.675 0.366 0.878
O 0.678 0.511 0.332
O 0.683 0.929 0.396
O 0.717 0.024 0.846
O 0.736 0.179 0.227
O 0.745 0.693 0.180
O 0.758 0.452 0.104
O 0.775 0.170 0.665
O 0.780 0.622 0.738
O 0.815 0.914 0.645
O 0.831 0.384 0.547
O 0.840 0.920 0.114
O 0.866 0.151 0.439
O 0.877 0.727 0.960
O 0.930 0.228 0.957
O 0.933 0.656 0.475
O 0.970 0.423 0.804
O 0.972 0.883 0.373
O 0.982 0.419 0.265

***

Below is LiMnP2O7 after structural relaxation, with properties calculated at the GGA+U level.

* calculated volume: 265.7 Å³/cell
* energy above the most stable polymorph in this dataset: 0.006 eV per atom
* crystal system: triclinic

Cell lengths 4.977, 6.764, 8.179 Å; angles 92.58, 93.63, 104.32 degrees
Sites, in units of the cell vectors:
Li 0.000 0.000 0.000
Li 0.400 0.569 0.488
Mn 0.437 0.534 0.064
Mn 0.942 0.043 0.564
P 0.075 0.790 0.260
P 0.393 0.875 0.791
P 0.479 0.193 0.333
P 0.802 0.285 0.867
O 0.044 0.307 0.995
O 0.140 0.968 0.760
O 0.260 0.014 0.217
O 0.268 0.643 0.257
O 0.307 0.711 0.914
O 0.325 0.254 0.475
O 0.525 0.817 0.640
O 0.573 0.366 0.219
O 0.612 0.429 0.883
O 0.626 0.052 0.901
O 0.724 0.101 0.378
O 0.843 0.756 0.126
O 0.876 0.276 0.687
O 0.993 0.804 0.438

***

Below is LiMnPO4 after structural relaxation, with properties calculated at the GGA+U level.

* calculated volume: 160.6 Å³/cell
* energy above the most stable polymorph in this dataset: 0.071 eV per atom
* crystal system: triclinic

Cell lengths 5.013, 5.517, 6.716 Å; angles 102.72, 90.08, 116.85 degrees
Sites, in units of the cell vectors:
Li 0.000 0.000 0.000
Li 0.030 0.003 0.493
Mn 0.322 0.714 0.266
Mn 0.607 0.286 0.721
P 0.281 0.646 0.763
P 0.638 0.356 0.224
O 0.046 0.332 0.669
O 0.181 0.732 0.973
O 0.270 0.832 0.618
O 0.442 0.173 0.369
O 0.452 0.270 0.014
O 0.606 0.684 0.783
O 0.720 0.672 0.315
O 0.925 0.316 0.205

***

Below is LiMnP4O14 after structural relaxation, with properties calculated at the GGA+U level.

* calculated volume: 562.7 Å³/cell
* crystal system: monoclinic

Cell lengths 8.720, 8.720, 8.969 Å; angles 110.55, 110.55, 99.98 degrees
Sites, in units of the cell vectors:
Li 0.138 0.862 0.750
Li 0.862 0.138 0.250
Mn 0.000 0.500 0.000
Mn 0.500 0.000 0.500
P 0.187 0.287 0.193
P 0.219 0.644 0.424
P 0.287 0.187 0.693
P 0.356 0.781 0.076
P 0.644 0.219 0.924
P 0.713 0.813 0.307
P 0.781 0.356 0.576
P 0.813 0.713 0.807
O 0.064 0.149 0.200
O 0.091 0.325 0.035
O 0.098 0.641 0.250
O 0.144 0.665 0.555
O 0.149 0.064 0.700
O 0.211 0.602 0.986
O 0.239 0.342 0.675
O 0.261 0.465 0.375
O 0.325 0.091 0.535
O 0.335 0.856 0.945
O 0.342 0.239 0.175
O 0.359 0.902 0.250
O 0.398 0.789 0.514
O 0.465 0.261 0.875
O 0.535 0.739 0.125
O 0.602 0.211 0.486
O 0.641 0.098 0.750
O 0.658 0.761 0.825
O 0.665 0.144 0.055
O 0.675 0.909 0.465
O 0.739 0.535 0.625
O 0.761 0.658 0.325
O 0.789 0.398 0.014
O 0.851 0.936 0.300
O 0.856 0.335 0.445
O 0.902 0.359 0.750
O 0.909 0.675 0.965
O 0.936 0.851 0.800

***

Number 1: calculated total energy -6.8557 eV per atom. Number 2: calculated total energy -7.2459 eV per atom. Number 3: calculated total energy -7.1406 eV per atom. Number 4: calculated total energy -7.3164 eV per atom. Number 5: calculated total energy -7.1145 eV per atom. Number 6: calculated total energy -7.0272 eV per atom. Number 7: calculated total energy -7.1103 eV per atom. Number 8: calculated total energy -7.1141 eV per atom. Number 9: calculated total energy -6.7134 eV per atom.